A relaxed structure of NdZn5, computed with PBE.

```
data_NdZn5
_chemical_formula_sum 'Nd1 Zn5'
_symmetry_space_group_name_H-M 'P 6/m m m'
_symmetry_Int_Tables_number 191
_symmetry_space_group_name_Hall '-P 6 2'
_cell_length_a 5.3951
_cell_length_b 5.3951
_cell_length_c 4.2668
_cell_angle_alpha 90.00
_cell_angle_beta 90.00
_cell_angle_gamma 120.00
loop_
_atom_site_label
_atom_site_type_symbol
_atom_site_fract_x
_atom_site_fract_y
_atom_site_fract_z
Nd1 Nd 0.0000 0.0000 0.0000
Zn1 Zn 0.0000 0.5000 0.5000
Zn2 Zn 0.3333 0.6667 0.0000
```

Results
E_tot	-2.150	eV per atom
energy relative to the elements	-0.31	eV per atom
crystal system	hexagonal